w:
Computed, not measured: crystalline Tl3Mo4P4O22 at its relaxed geometry at the GGA+U level of DFT.

Total magnetic moment in μB per formula unit: 3.05

Geometry as CIF:
```
data_Tl3Mo4P4O22
_symmetry_space_group_name_H-M 'P 1'
_symmetry_Int_Tables_number 1
_symmetry_space_group_name_Hall 'P 1'
_cell_length_a 10.280
_cell_length_b 10.280
_cell_length_c 19.508
_cell_angle_alpha 90.00
_cell_angle_beta 90.00
_cell_angle_gamma 90.35
loop_
_atom_site_label
_atom_site_fract_x
_atom_site_fract_y
_atom_site_fract_z
O1 0.212 0.020 0.354
O2 0.622 0.568 0.263
O3 0.223 0.978 0.737
O4 0.092 0.515 0.378
O5 0.788 0.980 0.854
O6 0.591 0.985 0.373
O7 0.020 0.212 0.646
O8 0.015 0.409 0.127
O9 0.231 0.671 0.606
O10 0.978 0.223 0.263
O11 0.594 0.181 0.863
O12 0.522 0.731 0.987
O13 0.977 0.614 0.036
O14 0.156 0.264 0.749
O15 0.183 0.404 0.642
O16 0.053 0.635 0.491
O17 0.823 0.734 0.858
O18 0.250 0.356 0.135
O19 0.292 0.522 0.897
O20 0.935 0.128 0.513
O21 0.249 0.855 0.114
O22 0.478 0.708 0.603
O23 0.269 0.478 0.513
O24 0.137 0.451 0.239
O25 0.683 0.907 0.610
O26 0.329 0.769 0.894
O27 0.947 0.365 0.991
O28 0.317 0.093 0.110
O29 0.114 0.515 0.785
O30 0.731 0.522 0.013
O31 0.708 0.478 0.397
O32 0.863 0.549 0.739
O33 0.734 0.823 0.142
O34 0.478 0.269 0.487
O35 0.177 0.266 0.358
O36 0.686 0.100 0.106
O37 0.451 0.137 0.761
O38 0.432 0.378 0.237
O39 0.378 0.432 0.763
O40 0.515 0.092 0.622
O41 0.549 0.863 0.261
O42 0.485 0.908 0.122
O43 0.181 0.594 0.137
O44 0.404 0.183 0.358
O45 0.671 0.231 0.394
O46 0.264 0.156 0.251
O47 0.855 0.249 0.886
O48 0.777 0.022 0.237
O49 0.485 0.886 0.715
O50 0.522 0.292 0.103
O51 0.365 0.947 0.009
O52 0.100 0.686 0.894
O53 0.022 0.777 0.763
O54 0.980 0.788 0.146
O55 0.872 0.065 0.987
O56 0.065 0.872 0.013
O57 0.985 0.591 0.627
O58 0.406 0.819 0.363
O59 0.093 0.317 0.890
O60 0.751 0.145 0.614
O61 0.596 0.817 0.858
O62 0.644 0.750 0.365
O63 0.635 0.053 0.509
O64 0.409 0.015 0.873
O65 0.819 0.406 0.637
O66 0.386 0.023 0.464
O67 0.356 0.250 0.865
O68 0.023 0.386 0.536
O69 0.769 0.329 0.106
O70 0.145 0.751 0.386
O71 0.128 0.935 0.487
O72 0.568 0.622 0.737
O73 0.750 0.644 0.635
O74 0.844 0.736 0.249
O75 0.515 0.114 0.215
O76 0.817 0.596 0.142
O77 0.266 0.177 0.642
O78 0.657 0.238 0.000
O79 0.614 0.977 0.964
O80 0.762 0.343 0.500
O81 0.900 0.314 0.394
O82 0.314 0.900 0.606
O83 0.238 0.657 0.000
O84 0.908 0.485 0.878
O85 0.736 0.844 0.751
O86 0.343 0.762 0.500
O87 0.886 0.485 0.285
O88 0.907 0.683 0.390
P1 0.238 0.656 0.920
P2 0.737 0.844 0.830
P3 0.762 0.344 0.420
P4 0.643 0.046 0.590
P5 0.954 0.357 0.910
P6 0.656 0.238 0.080
P7 0.156 0.263 0.670
P8 0.454 0.145 0.840
P9 0.263 0.156 0.330
P10 0.344 0.762 0.580
P11 0.855 0.546 0.660
P12 0.844 0.737 0.170
P13 0.357 0.954 0.090
P14 0.046 0.643 0.410
P15 0.546 0.855 0.340
P16 0.145 0.454 0.160
Mo1 0.754 0.603 0.314
Mo2 0.015 0.362 0.311
Mo3 0.893 0.255 0.565
Mo4 0.517 0.133 0.439
Mo5 0.745 0.107 0.935
Mo6 0.255 0.893 0.435
Mo7 0.362 0.015 0.689
Mo8 0.603 0.754 0.686
Mo9 0.246 0.397 0.814
Mo10 0.133 0.517 0.561
Mo11 0.483 0.867 0.939
Mo12 0.985 0.638 0.811
Mo13 0.867 0.483 0.061
Mo14 0.107 0.745 0.065
Mo15 0.397 0.246 0.186
Mo16 0.638 0.985 0.189
Tl1 0.883 0.009 0.371
Tl2 0.991 0.117 0.129
Tl3 0.708 0.708 0.500
Tl4 0.791 0.209 0.750
Tl5 0.292 0.292 0.000
Tl6 0.509 0.616 0.124
Tl7 0.209 0.791 0.250
Tl8 0.009 0.883 0.629
Tl9 0.616 0.509 0.876
Tl10 0.117 0.991 0.871
Tl11 0.491 0.384 0.624
Tl12 0.384 0.491 0.376
```

=====

x:
Computed, not measured: crystalline Tl3Mo4P4O22 at its relaxed geometry at the GGA+U level of DFT.

Total magnetic moment in μB per formula unit: 7.00

Geometry as CIF:
```
data_Tl3Mo4P4O22
_symmetry_space_group_name_H-M 'P 1'
_symmetry_Int_Tables_number 1
_symmetry_space_group_name_Hall 'P 1'
_cell_length_a 10.236
_cell_length_b 10.002
_cell_length_c 12.900
_cell_angle_alpha 49.85
_cell_angle_beta 90.00
_cell_angle_gamma 90.00
loop_
_atom_site_label
_atom_site_fract_x
_atom_site_fract_y
_atom_site_fract_z
P1 0.697 0.847 0.355
P2 0.025 0.632 0.662
P3 0.803 0.847 0.855
P4 0.525 0.368 0.838
P5 0.475 0.632 0.162
P6 0.197 0.153 0.145
P7 0.975 0.368 0.338
P8 0.303 0.153 0.645
O1 0.935 0.934 0.779
O2 0.792 0.999 0.300
O3 0.910 0.273 0.289
O4 0.840 0.316 0.015
O5 0.116 0.420 0.284
O6 0.590 0.273 0.789
O7 0.322 0.266 0.490
O8 0.090 0.727 0.711
O9 0.628 0.938 0.048
O10 0.065 0.066 0.221
O11 0.240 0.280 0.168
O12 0.601 0.907 0.606
O13 0.410 0.727 0.211
O14 0.822 0.734 0.010
O15 0.660 0.316 0.515
O16 0.021 0.756 0.503
O17 0.208 0.001 0.700
O18 0.760 0.720 0.832
O19 0.609 0.527 0.789
O20 0.340 0.684 0.485
O21 0.399 0.093 0.394
O22 0.160 0.684 0.985
O23 0.884 0.580 0.716
O24 0.101 0.093 0.894
O25 0.678 0.734 0.510
O26 0.260 0.280 0.668
O27 0.128 0.062 0.452
O28 0.708 0.999 0.800
O29 0.109 0.473 0.711
O30 0.521 0.244 0.997
O31 0.565 0.934 0.279
O32 0.740 0.720 0.332
O33 0.979 0.244 0.497
O34 0.384 0.420 0.784
O35 0.292 0.001 0.200
O36 0.891 0.527 0.289
O37 0.178 0.266 0.990
O38 0.872 0.938 0.548
O39 0.616 0.580 0.216
O40 0.899 0.907 0.106
O41 0.391 0.473 0.211
O42 0.372 0.062 0.952
O43 0.435 0.066 0.721
O44 0.479 0.756 0.003
Mo1 0.037 0.982 0.623
Mo2 0.537 0.018 0.877
Mo3 0.963 0.018 0.377
Mo4 0.717 0.752 0.659
Mo5 0.217 0.248 0.841
Mo6 0.783 0.752 0.159
Mo7 0.283 0.248 0.341
Mo8 0.463 0.982 0.123
Tl1 0.000 0.500 0.000
Tl2 0.347 0.668 0.858
Tl3 0.847 0.332 0.642
Tl4 0.653 0.332 0.142
Tl5 0.500 0.500 0.500
Tl6 0.153 0.668 0.358
```

=====

Relative calculated energies, zero for the most stable structure, unit meV per atom: w 0; x 188.

=====

w:
Computed, not measured: crystalline ScMo3O8 at its relaxed geometry at the GGA+U level of DFT.

Total magnetic moment in μB per formula unit: 1.00

Geometry as CIF:
```
data_ScMo3O8
_symmetry_space_group_name_H-M 'P 1'
_symmetry_Int_Tables_number 1
_symmetry_space_group_name_Hall 'P 1'
_cell_length_a 5.759
_cell_length_b 5.815
_cell_length_c 4.906
_cell_angle_alpha 89.96
_cell_angle_beta 89.86
_cell_angle_gamma 120.29
loop_
_atom_site_label
_atom_site_fract_x
_atom_site_fract_y
_atom_site_fract_z
O1 0.668 0.334 0.055
O2 0.979 0.989 0.539
O3 0.500 0.005 0.470
O4 0.500 0.495 0.469
O5 0.000 0.500 0.470
O6 0.169 0.834 0.007
O7 0.169 0.335 0.006
O8 0.670 0.835 0.021
Mo1 0.853 0.159 0.257
Mo2 0.297 0.149 0.253
Mo3 0.853 0.694 0.257
Sc1 0.345 0.673 0.734
```

=====

x:
Computed, not measured: crystalline ScMo3O8 at its relaxed geometry at the GGA+U level of DFT.

Total magnetic moment in μB per formula unit: 5.00

Geometry as CIF:
```
data_ScMo3O8
_symmetry_space_group_name_H-M 'P 1'
_symmetry_Int_Tables_number 1
_symmetry_space_group_name_Hall 'P 1'
_cell_length_a 6.097
_cell_length_b 6.097
_cell_length_c 4.638
_cell_angle_alpha 89.56
_cell_angle_beta 89.56
_cell_angle_gamma 59.86
loop_
_atom_site_label
_atom_site_fract_x
_atom_site_fract_y
_atom_site_fract_z
O1 0.486 0.680 0.272
O2 0.835 0.994 0.729
O3 0.832 0.504 0.738
O4 0.320 0.514 0.728
O5 0.496 0.168 0.262
O6 0.006 0.165 0.271
O7 0.323 0.993 0.727
O8 0.007 0.677 0.273
Sc1 0.673 0.327 0.000
Mo1 0.161 0.332 0.488
Mo2 0.668 0.839 0.512
Mo3 0.174 0.826 0.500
```

=====

Relative calculated energies, zero for the most stable structure, unit meV per atom: w 39; x 0.

=====

w:
Computed, not measured: crystalline ScMo3O8 at its relaxed geometry at the GGA+U level of DFT.

Total magnetic moment in μB per formula unit: 1.00

Geometry as CIF:
```
data_ScMo3O8
_symmetry_space_group_name_H-M 'P 1'
_symmetry_Int_Tables_number 1
_symmetry_space_group_name_Hall 'P 1'
_cell_length_a 6.064
_cell_length_b 6.132
_cell_length_c 4.624
_cell_angle_alpha 90.49
_cell_angle_beta 89.84
_cell_angle_gamma 120.13
loop_
_atom_site_label
_atom_site_fract_x
_atom_site_fract_y
_atom_site_fract_z
O1 0.993 0.008 0.489
O2 0.168 0.838 0.019
O3 0.671 0.836 0.019
O4 0.151 0.321 0.022
O5 0.517 0.012 0.485
O6 0.675 0.327 0.017
O7 0.995 0.498 0.486
O8 0.499 0.496 0.488
Mo1 0.834 0.167 0.253
Mo2 0.334 0.167 0.254
Mo3 0.833 0.667 0.253
Sc1 0.333 0.666 0.753
```

=====

x:
Computed, not measured: crystalline ScMo3O8 at its relaxed geometry at the GGA+U level of DFT.

Total magnetic moment in μB per formula unit: 5.00

Geometry as CIF:
```
data_ScMo3O8
_symmetry_space_group_name_H-M 'P 1'
_symmetry_Int_Tables_number 1
_symmetry_space_group_name_Hall 'P 1'
_cell_length_a 4.543
_cell_length_b 6.106
_cell_length_c 6.112
_cell_angle_alpha 118.20
_cell_angle_beta 90.41
_cell_angle_gamma 90.30
loop_
_atom_site_label
_atom_site_fract_x
_atom_site_fract_y
_atom_site_fract_z
O1 0.730 0.674 0.835
O2 0.724 0.179 0.350
O3 0.733 0.655 0.347
O4 0.739 0.161 0.824
O5 0.276 0.821 0.650
O6 0.270 0.326 0.165
O7 0.261 0.839 0.176
O8 0.267 0.345 0.653
Mo1 0.500 0.000 0.000
Mo2 0.500 0.000 0.500
Mo3 0.500 0.500 0.500
Sc1 0.000 0.500 0.000
```

=====

y:
Computed, not measured: crystalline ScMo3O8 at its relaxed geometry at the GGA+U level of DFT.

Total magnetic moment in μB per formula unit: 1.01

Geometry as CIF:
```
data_ScMo3O8
_symmetry_space_group_name_H-M 'P 1'
_symmetry_Int_Tables_number 1
_symmetry_space_group_name_Hall 'P 1'
_cell_length_a 5.861
_cell_length_b 5.861
_cell_length_c 10.213
_cell_angle_alpha 90.00
_cell_angle_beta 90.00
_cell_angle_gamma 120.00
loop_
_atom_site_label
_atom_site_fract_x
_atom_site_fract_y
_atom_site_fract_z
O1 0.516 0.031 0.861
O2 0.484 0.516 0.361
O3 0.516 0.484 0.861
O4 0.667 0.333 0.654
O5 0.169 0.831 0.636
O6 0.337 0.169 0.136
O7 0.663 0.831 0.636
O8 0.333 0.667 0.154
O9 0.831 0.169 0.136
O10 0.484 0.969 0.361
O11 0.000 0.000 0.389
O12 0.969 0.484 0.861
O13 0.831 0.663 0.136
O14 0.000 0.000 0.889
O15 0.031 0.516 0.361
O16 0.169 0.337 0.636
Mo1 0.849 0.698 0.751
Mo2 0.151 0.302 0.251
Mo3 0.151 0.849 0.251
Mo4 0.302 0.151 0.751
Mo5 0.698 0.849 0.251
Mo6 0.849 0.151 0.751
Sc1 0.667 0.333 0.006
Sc2 0.333 0.667 0.506
```

=====

Relative calculated energies, zero for the most stable structure, unit meV per atom: w 0; x 11; y 144.

=====

w:
Computed, not measured: crystalline Si2MoO6 at its relaxed geometry at the GGA+U level of DFT.

Total magnetic moment in μB per formula unit: 2.00

Geometry as CIF:
```
data_Si2MoO6
_symmetry_space_group_name_H-M 'P 1'
_symmetry_Int_Tables_number 1
_symmetry_space_group_name_Hall 'P 1'
_cell_length_a 6.637
_cell_length_b 6.637
_cell_length_c 5.455
_cell_angle_alpha 76.25
_cell_angle_beta 76.25
_cell_angle_gamma 85.14
loop_
_atom_site_label
_atom_site_fract_x
_atom_site_fract_y
_atom_site_fract_z
O1 0.364 0.349 0.466
O2 0.636 0.651 0.534
O3 0.950 0.807 0.152
O4 0.111 0.615 0.695
O5 0.385 0.889 0.805
O6 0.349 0.364 0.966
O7 0.889 0.385 0.305
O8 0.050 0.193 0.848
O9 0.651 0.636 0.034
O10 0.193 0.050 0.348
O11 0.615 0.111 0.195
O12 0.807 0.950 0.652
Mo1 0.100 0.900 0.750
Mo2 0.900 0.100 0.250
Si1 0.386 0.219 0.240
Si2 0.219 0.386 0.740
Si3 0.781 0.614 0.260
Si4 0.614 0.781 0.760
```

=====

x:
Computed, not measured: crystalline Si2MoO6 at its relaxed geometry at the GGA+U level of DFT.

Total magnetic moment in μB per formula unit: 2.00

Geometry as CIF:
```
data_Si2MoO6
_symmetry_space_group_name_H-M 'P 1'
_symmetry_Int_Tables_number 1
_symmetry_space_group_name_Hall 'P 1'
_cell_length_a 5.124
_cell_length_b 10.894
_cell_length_c 19.328
_cell_angle_alpha 90.00
_cell_angle_beta 90.00
_cell_angle_gamma 90.00
loop_
_atom_site_label
_atom_site_fract_x
_atom_site_fract_y
_atom_site_fract_z
O1 0.465 0.782 0.547
O2 0.315 0.953 0.679
O3 0.321 0.049 0.928
O4 0.670 0.780 0.704
O5 0.330 0.220 0.296
O6 0.362 0.858 0.806
O7 0.685 0.547 0.179
O8 0.638 0.642 0.306
O9 0.179 0.549 0.072
O10 0.035 0.282 0.453
O11 0.815 0.547 0.679
O12 0.035 0.782 0.047
O13 0.185 0.453 0.321
O14 0.535 0.218 0.453
O15 0.862 0.142 0.694
O16 0.138 0.358 0.194
O17 0.685 0.047 0.321
O18 0.185 0.953 0.179
O19 0.321 0.549 0.572
O20 0.263 0.646 0.444
O21 0.170 0.720 0.704
O22 0.535 0.718 0.047
O23 0.237 0.646 0.944
O24 0.670 0.280 0.796
O25 0.315 0.453 0.821
O26 0.263 0.146 0.056
O27 0.638 0.142 0.194
O28 0.362 0.358 0.694
O29 0.237 0.146 0.556
O30 0.737 0.854 0.944
O31 0.965 0.218 0.953
O32 0.830 0.780 0.204
O33 0.737 0.354 0.556
O34 0.763 0.854 0.444
O35 0.465 0.282 0.953
O36 0.821 0.451 0.928
O37 0.179 0.049 0.428
O38 0.862 0.642 0.806
O39 0.679 0.951 0.072
O40 0.330 0.720 0.204
O41 0.763 0.354 0.056
O42 0.830 0.280 0.296
O43 0.965 0.718 0.547
O44 0.138 0.858 0.306
O45 0.815 0.047 0.821
O46 0.821 0.951 0.572
O47 0.679 0.451 0.428
O48 0.170 0.220 0.796
Si1 0.377 0.829 0.723
Si2 0.623 0.171 0.277
Si3 0.877 0.671 0.723
Si4 0.377 0.329 0.777
Si5 0.760 0.828 0.527
Si6 0.623 0.671 0.223
Si7 0.260 0.672 0.527
Si8 0.740 0.328 0.473
Si9 0.240 0.172 0.473
Si10 0.240 0.672 0.027
Si11 0.760 0.328 0.973
Si12 0.260 0.172 0.973
Si13 0.123 0.829 0.223
Si14 0.877 0.171 0.777
Si15 0.123 0.329 0.277
Si16 0.740 0.828 0.027
Mo1 0.065 0.548 0.874
Mo2 0.565 0.452 0.626
Mo3 0.435 0.548 0.374
Mo4 0.935 0.452 0.126
Mo5 0.065 0.048 0.626
Mo6 0.935 0.952 0.374
Mo7 0.565 0.952 0.874
Mo8 0.435 0.048 0.126
```

=====

Relative calculated energies, zero for the most stable structure, unit meV per atom: w 0; x 83.